VASP calculation (PBE with a Hubbard U) on In2W3O12 after structural relaxation. Values from VASP.

The structure in Quantum ESPRESSO input format:
```
&SYSTEM
  ibrav = 0, nat = 136, ntyp = 3
/
ATOMIC_SPECIES
O 16.00 O.upf
In 114.82 In.upf
W 183.84 W.upf
ATOMIC_POSITIONS crystal
O 0.377 0.999 0.065
O 0.780 0.564 0.752
O 0.280 0.936 0.248
O 0.408 0.814 0.170
O 0.042 0.449 0.806
O 0.908 0.686 0.830
O 0.690 0.499 0.409
O 0.384 0.629 0.228
O 0.424 0.378 0.149
O 0.058 0.828 0.637
O 0.359 0.913 0.499
O 0.688 0.619 0.224
O 0.891 0.215 0.668
O 0.385 0.581 0.000
O 0.076 0.878 0.149
O 0.092 0.314 0.170
O 0.812 0.119 0.224
O 0.558 0.672 0.363
O 0.839 0.426 0.118
O 0.220 0.436 0.248
O 0.307 0.416 0.976
O 0.798 0.268 0.904
O 0.984 0.957 0.273
O 0.188 0.881 0.776
O 0.109 0.785 0.332
O 0.396 0.763 0.874
O 0.141 0.413 0.499
O 0.693 0.584 0.024
O 0.350 0.102 0.445
O 0.436 0.138 0.697
O 0.458 0.949 0.806
O 0.459 0.236 0.516
O 0.615 0.419 0.000
O 0.807 0.084 0.024
O 0.564 0.862 0.303
O 0.958 0.551 0.194
O 0.516 0.457 0.273
O 0.604 0.237 0.126
O 0.884 0.871 0.772
O 0.801 0.766 0.391
O 0.576 0.622 0.851
O 0.123 0.499 0.065
O 0.810 0.999 0.409
O 0.877 0.501 0.935
O 0.104 0.263 0.874
O 0.567 0.149 0.310
O 0.202 0.732 0.096
O 0.387 0.506 0.416
O 0.064 0.638 0.697
O 0.616 0.371 0.772
O 0.609 0.715 0.668
O 0.298 0.232 0.096
O 0.942 0.172 0.363
O 0.312 0.381 0.776
O 0.699 0.266 0.391
O 0.933 0.649 0.310
O 0.592 0.186 0.830
O 0.885 0.919 0.000
O 0.541 0.764 0.484
O 0.850 0.398 0.555
O 0.613 0.494 0.584
O 0.016 0.043 0.727
O 0.859 0.587 0.501
O 0.542 0.051 0.194
O 0.310 0.501 0.591
O 0.391 0.285 0.332
O 0.502 0.279 0.945
O 0.115 0.081 0.000
O 0.959 0.264 0.484
O 0.301 0.734 0.609
O 0.433 0.851 0.690
O 0.190 0.001 0.591
O 0.936 0.362 0.303
O 0.924 0.122 0.851
O 0.161 0.574 0.882
O 0.702 0.768 0.904
O 0.887 0.994 0.584
O 0.720 0.064 0.752
O 0.661 0.926 0.118
O 0.623 0.001 0.935
O 0.193 0.916 0.976
O 0.484 0.543 0.727
O 0.896 0.737 0.126
O 0.002 0.221 0.055
O 0.498 0.721 0.055
O 0.199 0.234 0.609
O 0.116 0.129 0.228
O 0.998 0.779 0.945
O 0.067 0.351 0.690
O 0.150 0.602 0.445
O 0.041 0.736 0.516
O 0.339 0.074 0.882
O 0.442 0.328 0.637
O 0.641 0.087 0.501
O 0.650 0.898 0.555
O 0.113 0.006 0.416
In 0.982 0.689 0.417
In 0.042 0.825 0.048
In 0.958 0.175 0.952
In 0.473 0.933 0.185
In 0.465 0.438 0.681
In 0.527 0.067 0.815
In 0.018 0.311 0.583
In 0.542 0.675 0.952
In 0.518 0.189 0.417
In 0.535 0.562 0.319
In 0.458 0.325 0.048
In 0.482 0.811 0.583
In 0.027 0.433 0.185
In 0.973 0.567 0.815
In 0.965 0.062 0.319
In 0.035 0.938 0.681
W 0.253 0.006 0.487
W 0.884 0.266 0.385
W 0.613 0.611 0.749
W 0.755 0.482 0.020
W 0.387 0.389 0.251
W 0.887 0.111 0.749
W 0.245 0.518 0.980
W 0.376 0.724 0.136
W 0.745 0.982 0.020
W 0.247 0.506 0.487
W 0.616 0.766 0.385
W 0.255 0.018 0.980
W 0.630 0.138 0.213
W 0.370 0.862 0.787
W 0.747 0.994 0.513
W 0.753 0.494 0.513
W 0.113 0.889 0.251
W 0.876 0.776 0.864
W 0.870 0.638 0.213
W 0.116 0.734 0.615
W 0.124 0.224 0.136
W 0.130 0.362 0.787
W 0.624 0.276 0.864
W 0.384 0.234 0.615
CELL_PARAMETERS angstrom
-7.344 -5.895 2.739
1.095 -8.118 -14.534
10.798 -12.710 1.600
```

Output
symmetry: P2_1/c (14)
formation energy from the elements: -35.28 eV per formula unit
magnetic moment: 0.008 μB/f.u.